Entry from Materials Project: an optimized crystal structure of K5UP3S12 (PBE).

Lattice parameters (Å, degrees): 17.327 9.861 14.812 71.02 90.00 90.00
Element x y z (fractional)
S1 0.488 0.937 0.215
S2 0.672 0.682 0.918
K1 0.495 0.444 0.687
S3 0.349 0.268 0.771
K2 0.970 0.285 0.013
S4 0.620 0.280 0.373
K3 0.030 0.715 0.987
S5 0.856 0.534 0.596
K4 0.800 0.219 0.446
S6 0.651 0.732 0.229
S7 0.828 0.182 0.918
S8 0.512 0.063 0.785
P1 0.595 0.227 0.516
K5 0.204 0.156 0.924
P2 0.397 0.398 0.164
P3 0.608 0.935 0.190
S9 0.988 0.563 0.785
S10 0.873 0.888 0.563
S11 0.127 0.112 0.437
S12 0.144 0.466 0.404
S13 0.626 0.700 0.691
S14 0.012 0.437 0.215
S15 0.356 0.966 0.404
S16 0.487 0.660 0.839
U1 0.001 0.606 0.334
S17 0.478 0.169 0.521
S18 0.022 0.669 0.521
P4 0.405 0.773 0.484
S19 0.385 0.613 0.130
K6 0.005 0.944 0.687
S20 0.885 0.887 0.870
K7 0.694 0.174 0.769
S21 0.880 0.780 0.373
S22 0.373 0.612 0.437
S23 0.328 0.318 0.082
K8 0.796 0.844 0.076
P5 0.103 0.898 0.164
P6 0.905 0.727 0.516
S24 0.644 0.034 0.596
K9 0.505 0.556 0.313
S25 0.866 0.542 0.052
U2 0.499 0.106 0.334
S26 0.013 0.160 0.839
S27 0.126 0.800 0.309
S28 0.366 0.958 0.948
S29 0.646 0.047 0.279
S30 0.849 0.232 0.229
S31 0.854 0.547 0.279
S32 0.874 0.200 0.691
S33 0.134 0.458 0.948
S34 0.374 0.300 0.309
S35 0.115 0.113 0.130
S36 0.978 0.331 0.479
K10 0.806 0.674 0.769
K11 0.700 0.719 0.446
K12 0.306 0.826 0.231
K13 0.470 0.215 0.987
K14 0.995 0.056 0.313
K15 0.300 0.281 0.554
P7 0.892 0.435 0.190
P8 0.108 0.565 0.810
S37 0.627 0.388 0.563
S38 0.634 0.042 0.052
P9 0.603 0.602 0.836
P10 0.897 0.102 0.836
S39 0.522 0.831 0.479
S40 0.151 0.768 0.771
S41 0.615 0.387 0.870
K16 0.194 0.326 0.231
S42 0.380 0.720 0.627
K17 0.296 0.656 0.924
P11 0.095 0.273 0.484
S43 0.354 0.953 0.721
S44 0.513 0.340 0.161
P12 0.392 0.065 0.810
S45 0.172 0.818 0.082
U3 0.999 0.394 0.666
K18 0.200 0.781 0.554
U4 0.501 0.894 0.666
K19 0.704 0.344 0.076
S46 0.987 0.840 0.161
K20 0.530 0.785 0.013
S47 0.120 0.220 0.627
S48 0.146 0.453 0.721

VASP energy: -4.86 eV/atom
size of the total moment: 0.00 μB per atom
formation enthalpy at 0 K: -1.20 eV/atom
symmetry: P2_1/c, No. 14


Entry from Materials Project: an optimized crystal structure of KVP2S7 (PBE).

Lattice parameters (Å, degrees): 6.536 6.536 6.624 84.67 84.67 97.00
Element x y z (fractional)
S1 0.526 0.848 0.830
S2 0.982 0.018 0.000
S3 0.819 0.463 0.783
K1 0.112 0.888 0.500
S4 0.632 0.688 0.278
V1 0.498 0.502 0.000
P1 0.651 0.948 0.081
S5 0.152 0.474 0.170
P2 0.052 0.349 0.919
S6 0.537 0.181 0.217
S7 0.312 0.368 0.722

VASP energy: -5.12 eV/atom
size of the total moment: 0.18 μB per atom
formation enthalpy at 0 K: -0.90 eV/atom
symmetry: C2, No. 5


Entry from Materials Project: an optimized crystal structure of K4VP2S9 (PBE).

Lattice parameters (Å, degrees): 6.905 13.085 19.593 90.00 90.00 90.00
Element x y z (fractional)
S1 0.999 0.741 0.564
S2 0.495 0.962 0.315
S3 0.747 0.547 0.485
S4 0.505 0.459 0.183
K1 0.752 0.327 0.069
K2 0.749 0.173 0.783
S5 0.247 0.262 0.083
V1 0.858 0.601 0.875
S6 0.745 0.441 0.333
S7 0.995 0.462 0.185
K3 0.252 0.827 0.431
V2 0.358 0.101 0.625
S8 0.005 0.959 0.317
P1 0.249 0.202 0.483
S9 0.747 0.762 0.417
P2 0.752 0.501 0.733
S10 0.495 0.959 0.817
S11 0.334 0.602 0.375
S12 0.001 0.241 0.436
P3 0.748 0.501 0.233
S13 0.753 0.547 0.985
S14 0.253 0.262 0.583
S15 0.505 0.462 0.685
K4 0.758 0.030 0.966
V3 0.642 0.601 0.375
K5 0.251 0.673 0.217
S16 0.255 0.941 0.667
K6 0.751 0.173 0.283
K7 0.742 0.030 0.466
S17 0.501 0.741 0.064
K8 0.746 0.876 0.181
S18 0.991 0.744 0.067
S19 0.247 0.047 0.015
P4 0.252 0.001 0.767
S20 0.995 0.459 0.683
S21 0.666 0.102 0.625
S22 0.499 0.241 0.936
S23 0.005 0.962 0.815
P5 0.248 0.001 0.267
S24 0.756 0.656 0.765
S25 0.753 0.762 0.917
K9 0.254 0.376 0.819
P6 0.751 0.702 0.517
K10 0.242 0.530 0.034
K11 0.248 0.827 0.931
V4 0.142 0.101 0.125
K12 0.249 0.673 0.717
K13 0.748 0.327 0.569
S26 0.744 0.656 0.265
S27 0.166 0.602 0.875
S28 0.009 0.244 0.933
S29 0.245 0.941 0.167
S30 0.256 0.156 0.735
S31 0.253 0.047 0.515
S32 0.755 0.441 0.833
S33 0.509 0.744 0.567
P7 0.749 0.702 0.017
K14 0.246 0.376 0.319
S34 0.491 0.244 0.433
K15 0.754 0.876 0.681
P8 0.251 0.202 0.983
K16 0.258 0.530 0.534
S35 0.834 0.102 0.125
S36 0.244 0.156 0.235

VASP energy: -4.75 eV/atom
size of the total moment: 0.05 μB per atom
formation enthalpy at 0 K: -1.18 eV/atom
symmetry: Pna2_1, No. 33


no.,mass density (g/cm³)
1,2.53
2,2.25
3,2.09